(1)
First-principles (PBE) data for an optimized crystal structure of Na4Ca2In2SiS5O24, as listed in the Materials Project database.

a = 9.2004 Å, b = 9.2179 Å, c = 23.3046 Å
α = 90.29°, β = 89.59°, γ = 120.07°
Last column: nearest neighbours and their distance in Å.
Fractional coordinates of all 114 atoms:
1 Na 0.0024 0.6382 0.2369  2 O 2.20-2.46
2 Na 0.9916 0.3517 0.7598  5 O 2.39-2.59
3 Na 0.3777 0.0024 0.7474  3 O 2.34-2.54
4 Na 0.6558 0.9760 0.5943  6 O 2.41-2.70
5 Na 0.6848 0.6833 0.0755  6 O 2.43-2.69
6 Na 0.3347 0.0343 0.4280  5 O 2.35-2.54
7 Na 0.0243 0.0052 0.5058  4 O 2.38-2.64
8 Na 0.0193 0.9945 0.0043  4 O 2.38-2.65
9 Na 0.6653 0.3301 0.8417  4 O 2.49-2.71
10 Na 0.6656 0.3337 0.3279  6 O 2.53-2.82
11 Na 0.3130 0.6614 0.1573  3 O 2.34-2.62
12 Na 0.3570 0.6853 0.6661  3 O 2.42-2.48
13 Ca 0.9951 0.0055 0.3521  6 O 2.24-2.40
14 Ca 0.6724 0.3323 0.1753  6 O 2.21-2.44
15 Ca 0.6769 0.3386 0.9871  4 O 2.13-2.39
16 Ca 0.6606 0.3320 0.4856  6 O 2.21-2.37
17 Ca 0.3381 0.6608 0.3129  6 O 2.25-2.37
18 Ca 0.3521 0.6778 0.8163  6 O 2.19-2.42
19 In 0.9822 0.9954 0.8515  5 O 2.04-2.27
20 In 0.9998 0.9930 0.6494  5 O 2.04-2.26
21 In 0.0080 0.0065 0.1490  6 O 2.06-2.26
22 In 0.6619 0.3239 0.6791  5 O 2.07-2.30
23 In 0.3203 0.6713 0.0138  4 O 2.02-2.26
24 In 0.3282 0.6663 0.5189  6 O 2.09-2.33
25 Si 0.7086 0.0074 0.7439  4 O 1.63-1.69
26 Si 0.3538 0.0210 0.5815  4 O 1.61-1.69
27 Si 0.9786 0.6475 0.0877  4 O 1.62-1.69
28 S 0.3001 0.0032 0.2527  4 O 1.47-1.50
29 S 0.7042 0.7019 0.2474  4 O 1.47-1.51
30 S 0.9974 0.2983 0.2477  4 O 1.47-1.50
31 S 0.2936 0.2860 0.7498  4 O 1.48-1.50
32 S 0.9915 0.6982 0.7507  4 O 1.48-1.50
33 S 0.9727 0.3372 0.5849  4 O 1.46-1.51
34 S 0.6635 0.6315 0.5857  4 O 1.45-1.51
35 S 0.6643 0.0181 0.0817  4 O 1.47-1.51
36 S 0.3593 0.3370 0.0818  4 O 1.47-1.52
37 S 0.6382 0.6731 0.9196  4 O 1.47-1.51
38 S 0.0378 0.3620 0.9126  4 O 1.48-1.51
39 S 0.3222 0.9713 0.9113  4 O 1.47-1.52
40 S 0.6286 0.9600 0.4205  4 O 1.47-1.52
41 S 0.3313 0.3694 0.4204  4 O 1.46-1.50
42 S 0.0372 0.6679 0.4161  4 O 1.47-1.50
43 O 0.2263 0.0143 0.3082  1 S 1.48
44 O 0.8063 0.7949 0.2975  1 S 1.48
45 O 0.9991 0.2102 0.2997  1 S 1.47
46 O 0.2185 0.1756 0.8007  1 S 1.49
47 O 0.9738 0.7769 0.8036  1 S 1.48
48 O 0.8392 0.0462 0.7975  1 Si 1.65
49 O 0.7942 0.9933 0.6835  1 Si 1.64
50 O 0.1959 0.2065 0.6970  1 S 1.48
51 O 0.0283 0.8083 0.7000  1 S 1.48
52 O 0.7883 0.7957 0.1929  1 S 1.51
53 O 0.0019 0.2082 0.1948  1 S 1.49
54 O 0.1906 0.9929 0.2040  1 S 1.49
55 O 0.9039 0.3629 0.6405  1 S 1.51
56 O 0.4793 0.1124 0.6379  1 Si 1.68
57 O 0.6576 0.5405 0.6391  1 S 1.49
58 O 0.9131 0.5533 0.1491  1 Si 1.62
59 O 0.6330 0.0876 0.1342  1 S 1.47
60 O 0.4583 0.3580 0.1338  1 S 1.48
61 O 0.4310 0.3040 0.0302  1 S 1.47
62 O 0.8381 0.5509 0.0383  1 Si 1.63
63 O 0.6774 0.1138 0.0299  1 S 1.47
64 O 0.4305 0.1192 0.5219  1 Si 1.61
65 O 0.6823 0.5539 0.5339  1 S 1.45
66 O 0.8663 0.3244 0.5365  1 S 1.46
67 O 0.5510 0.6828 0.9732  1 S 1.51
68 O 0.1430 0.4564 0.9623  1 S 1.48
69 O 0.3073 0.8652 0.9613  1 S 1.49
70 O 0.5495 0.8704 0.4764  1 S 1.52
71 O 0.3287 0.4590 0.4741  1 S 1.50
72 O 0.1434 0.6793 0.4665  1 S 1.50
73 O 0.1155 0.6575 0.3619  1 S 1.48
74 O 0.5239 0.8632 0.3718  1 S 1.47
75 O 0.3298 0.4586 0.3690  1 S 1.46
76 O 0.1147 0.4468 0.8576  1 S 1.48
77 O 0.3345 0.8962 0.8566  1 S 1.48
78 O 0.5457 0.6691 0.8681  1 S 1.47
79 O 0.0340 0.8289 0.4180  1 S 1.50
80 O 0.7989 0.9837 0.4187  1 S 1.47
81 O 0.1821 0.1959 0.4227  1 S 1.50
82 O 0.0263 0.1931 0.9145  1 S 1.51
83 O 0.1617 0.9811 0.9113  1 S 1.52
84 O 0.8094 0.8303 0.9193  1 S 1.51
85 O 0.9748 0.1761 0.5864  1 S 1.50
86 O 0.1640 0.9945 0.5899  1 Si 1.65
87 O 0.8068 0.8086 0.5872  1 S 1.50
88 O 0.9980 0.8395 0.0881  1 Si 1.69
89 O 0.8212 0.0074 0.0867  1 S 1.50
90 O 0.1820 0.2013 0.0884  1 S 1.48
91 O 0.6958 0.1844 0.7446  1 Si 1.69
92 O 0.4674 0.3119 0.7445  1 S 1.50
93 O 0.8359 0.5313 0.7433  1 S 1.50
94 O 0.6946 0.5358 0.2471  1 S 1.49
95 O 0.8444 0.3141 0.2487  1 S 1.49
96 O 0.4710 0.1482 0.2469  1 S 1.47
97 O 0.6566 0.5239 0.9201  1 S 1.47
98 O 0.8671 0.3397 0.9168  1 S 1.48
99 O 0.4693 0.1403 0.9168  1 S 1.47
100 O 0.6361 0.1249 0.4201  1 S 1.49
101 O 0.4835 0.3516 0.4186  1 S 1.49
102 O 0.8669 0.5223 0.4210  1 S 1.47
103 O 0.3620 0.5022 0.0749  1 S 1.52
104 O 0.1678 0.6715 0.0767  1 Si 1.66
105 O 0.5239 0.8383 0.0758  1 S 1.51
106 O 0.3518 0.8371 0.5824  1 Si 1.69
107 O 0.5058 0.6434 0.5843  1 S 1.51
108 O 0.1467 0.4786 0.5799  1 S 1.48
109 O 0.3019 0.8416 0.2504  1 S 1.50
110 O 0.5352 0.6808 0.2489  1 S 1.47
111 O 0.1466 0.4716 0.2457  1 S 1.50
112 O 0.2989 0.4481 0.7558  1 S 1.48
113 O 0.1366 0.6685 0.7549  1 S 1.50
114 O 0.5175 0.8492 0.7478  1 Si 1.63

Values from the calculation:
Energy with MP2020 corrections = -6.51 eV per atom
DFT formation energy = -2309.9 meV per atom
SG = P1 (1)

=====

(2)
First-principles (PBE) data for an optimized crystal structure of Li5SbS, as listed in the Materials Project database.

a = 8.6949 Å, b = 8.6949 Å, c = 6.2014 Å
α = 89.53°, β = 89.53°, γ = 147.56°
Last column: nearest neighbours and their distance in Å.
Fractional coordinates of all 14 atoms:
1 Li 0.8217 0.7464 0.5894  2 S 2.38-2.41, 1 Li 2.66
2 Li 0.8024 0.1844 0.4948  1 S 2.50
3 Li 0.6358 0.3642 0.2500  2 S 2.63
4 Li 0.8156 0.1976 0.0052  1 S 2.50
5 Li 0.7464 0.8217 0.0894  2 S 2.38-2.41, 1 Li 2.66
6 Li 0.2536 0.1783 0.9106  2 S 2.38-2.41, 1 Li 2.66
7 Li 0.1844 0.8024 0.9948  1 S 2.50
8 Li 0.3642 0.6358 0.7500  2 S 2.63
9 Li 0.1976 0.8156 0.5052  1 S 2.50
10 Li 0.1783 0.2536 0.4106  2 S 2.38-2.41, 1 Li 2.66
11 Sb 0.6669 0.3331 0.7500  8 Li 2.73-2.90
12 Sb 0.3331 0.6669 0.2500  8 Li 2.73-2.90
13 S 0.9250 0.0750 0.7500  8 Li 2.38-2.63
14 S 0.0750 0.9250 0.2500  8 Li 2.38-2.63

Values from the calculation:
Energy with MP2020 corrections = -3.48 eV per atom
DFT formation energy = -940.4 meV per atom
SG = C2/c (15)

=====

(3)
First-principles (PBE) data for an optimized crystal structure of LaSiAs3, as listed in the Materials Project database.

a = 6.0126 Å, b = 6.1322 Å, c = 26.6802 Å
α = 90.00°, β = 90.00°, γ = 90.00°
Last column: nearest neighbours and their distance in Å.
Fractional coordinates of all 40 atoms:
1 La 0.7480 0.9841 0.0906  9 As 3.10-3.42
2 La 0.2480 0.0159 0.9094  9 As 3.10-3.42
3 La 0.2480 0.5159 0.5906  9 As 3.10-3.42
4 La 0.7480 0.4841 0.4094  9 As 3.10-3.42
5 La 0.2476 0.4826 0.0965  9 As 3.09-3.36
6 La 0.7476 0.5174 0.9035  9 As 3.09-3.36
7 La 0.7476 0.0174 0.5965  9 As 3.09-3.36
8 La 0.2476 0.9826 0.4035  9 As 3.09-3.36
9 Si 0.3273 0.0633 0.2053  4 As 2.34-2.39
10 Si 0.8273 0.9367 0.7947  4 As 2.34-2.39
11 Si 0.8273 0.4367 0.7053  4 As 2.34-2.39
12 Si 0.3273 0.5633 0.2947  4 As 2.34-2.39
13 Si 0.8256 0.3874 0.2078  4 As 2.34-2.41
14 Si 0.3256 0.6126 0.7922  4 As 2.34-2.41
15 Si 0.3256 0.1126 0.7078  4 As 2.34-2.41
16 Si 0.8256 0.8874 0.2922  4 As 2.34-2.41
17 As 0.7451 0.4885 0.1251  1 Si 2.34
18 As 0.2451 0.5115 0.8749  1 Si 2.34
19 As 0.2451 0.0115 0.6251  1 Si 2.34
20 As 0.7451 0.9885 0.3749  1 Si 2.34
21 As 0.2445 0.9789 0.1219  1 Si 2.34
22 As 0.7445 0.0211 0.8781  1 Si 2.34
23 As 0.7445 0.5211 0.6219  1 Si 2.34
24 As 0.2445 0.4789 0.3781  1 Si 2.34
25 As 0.4687 0.7031 0.0021  2 As 2.54-2.57
26 As 0.9687 0.2969 0.9979  2 As 2.54-2.57
27 As 0.9687 0.7969 0.5021  2 As 2.54-2.57
28 As 0.4687 0.2031 0.4979  2 As 2.54-2.57
29 As 0.5416 0.2949 0.9983  2 As 2.54-2.57
30 As 0.0416 0.7051 0.0017  2 As 2.54-2.57
31 As 0.0416 0.2051 0.4983  2 As 2.54-2.57
32 As 0.5416 0.7949 0.5017  2 As 2.54-2.57
33 As 0.2197 0.4326 0.2140  3 Si 2.37-2.39
34 As 0.7197 0.5674 0.7860  3 Si 2.37-2.39
35 As 0.7197 0.0674 0.7140  3 Si 2.37-2.39
36 As 0.2197 0.9326 0.2860  3 Si 2.37-2.39
37 As 0.7209 0.0160 0.2103  3 Si 2.36-2.41
38 As 0.2209 0.9840 0.7897  3 Si 2.36-2.41
39 As 0.2209 0.4840 0.7103  3 Si 2.36-2.41
40 As 0.7209 0.5160 0.2897  3 Si 2.36-2.41

Values from the calculation:
DFT formation energy = -656.8 meV per atom
SG = Pna2_1 (33)

=====

(4)
First-principles (PBE) data for an optimized crystal structure of TbSi2, as listed in the Materials Project database.

a = 7.7751 Å, b = 7.7751 Å, c = 7.7751 Å
α = 150.09°, β = 150.09°, γ = 42.81°
Last column: nearest neighbours and their distance in Å.
Fractional coordinates of all 6 atoms:
1 Tb 0.2500 0.7500 0.5000  12 Si 3.08-3.14
2 Tb 0.5000 0.5000 0.0000  12 Si 3.08-3.14
3 Si 0.8327 0.3327 0.5000  3 Si 2.35-2.40
4 Si 0.9173 0.9173 0.0000  3 Si 2.35-2.40
5 Si 0.6673 0.1673 0.5000  3 Si 2.35-2.40
6 Si 0.0827 0.0827 0.0000  3 Si 2.35-2.40

Values from the calculation:
Energy with MP2020 corrections = -5.68 eV per atom
DFT formation energy = -514.1 meV per atom
SG = I4_1/amd (141)

=====

no.,ρ (g cm⁻³)
1,2.8
2,2.5
3,5.3
4,6.1